VASP calculation (r²SCAN) on a relaxed structure of Na3H7Os.

Structure (CIF):
```
data_Na3H7Os
_chemical_formula_sum 'Na12 H28 Os4'
_symmetry_space_group_name_H-M 'P 42/m n m'
_symmetry_Int_Tables_number 136
_symmetry_space_group_name_Hall '-P 4n 2n'
_cell_length_a 9.493
_cell_length_b 9.493
_cell_length_c 5.230
_cell_angle_alpha 90.00
_cell_angle_beta 90.00
_cell_angle_gamma 90.00
loop_
_atom_site_label
_atom_site_fract_x
_atom_site_fract_y
_atom_site_fract_z
Na1 0.034 0.300 0.000
Na2 0.117 0.883 0.500
H1 0.069 0.326 0.500
H2 0.103 0.103 0.302
H3 0.174 0.826 0.000
H4 0.242 0.242 0.202
Os1 0.202 0.202 0.500
```

Energy of formation from the pure elements, eV/f.u.: -3.945
Calculated total energy, eV/atom: -8.346
Spin magnetization, μB/atom: 0.00